Material: Sm2Ga9Ir3
Method: DFT, r2SCAN
State: relaxed Values from VASP.

Quantum ESPRESSO input file:
```
&SYSTEM
  ibrav = 0, nat = 28, ntyp = 3
/
ATOMIC_SPECIES
Sm 150.36 Sm.upf
Ga 69.72 Ga.upf
Ir 192.22 Ir.upf
CELL_PARAMETERS angstrom
6.5196 -3.7825 0.0000
6.5196 3.7825 0.0000
0.0000 0.0000 9.5352
ATOMIC_POSITIONS angstrom
Sm 4.3755 2.5239 7.1514
Sm 8.6637 2.5239 7.1514
Sm 4.3755 -2.5239 2.3838
Sm 8.6637 -2.5239 2.3838
Ga 4.3532 2.5091 0.7369
Ga 4.3532 2.5091 4.0307
Ga 6.5196 2.7903 2.3838
Ga 8.6860 2.5091 0.7369
Ga 8.6860 2.5091 4.0307
Ga 6.5196 1.2518 5.3772
Ga 6.5196 1.2518 8.9256
Ga 5.1816 0.4473 2.3838
Ga 5.1816 -0.4473 7.1514
Ga 7.8576 0.4473 2.3838
Ga 7.8576 -0.4473 7.1514
Ga 6.5196 -1.2518 0.6096
Ga 6.5196 -1.2518 4.1580
Ga 4.3532 -2.5091 5.5045
Ga 4.3532 -2.5091 8.7984
Ga 6.5196 -2.7903 7.1514
Ga 8.6860 -2.5091 5.5045
Ga 8.6860 -2.5091 8.7984
Ir 0.0000 0.0000 0.0000
Ir 0.0000 0.0000 4.7676
Ir 4.2908 0.0000 0.0000
Ir 4.2908 0.0000 4.7676
Ir 8.7484 0.0000 0.0000
Ir 8.7484 0.0000 4.7676
```

Computed properties:
Volume   470.28 Å³ per cell
Energy of formation   -0.77 eV per atom
Symmetry   Cmcm

=====

Material: Tm2SiO5
Method: DFT, r2SCAN
State: relaxed Values from VASP.

Quantum ESPRESSO input file:
```
&SYSTEM
  ibrav = 0, nat = 32, ntyp = 3
/
ATOMIC_SPECIES
Tm 168.93 Tm.upf
Si 28.09 Si.upf
O 16.00 O.upf
CELL_PARAMETERS angstrom
9.0247 0.0000 0.0000
0.0000 6.6634 0.0000
-1.4393 0.0000 6.4442
ATOMIC_POSITIONS angstrom
Tm -0.0471 0.7986 1.4874
Tm -0.7667 2.5331 4.7095
Tm 3.2105 0.9385 0.1322
Tm 2.4908 2.3932 3.3544
Tm 5.0945 4.2702 3.0899
Tm 4.3749 5.7249 6.3120
Tm 8.3521 4.1302 1.7347
Tm 7.6324 5.8648 4.9569
Si 2.6799 3.9660 0.0481
Si 1.9602 6.0290 3.2702
Si 5.6251 0.6343 3.1740
Si 4.9055 2.6973 6.3961
O -0.3511 0.8060 5.9845
O 0.3685 2.5257 2.7624
O -0.3777 4.2894 6.3176
O 0.3420 5.7056 3.0955
O 2.1572 0.4175 2.0040
O 1.4375 2.9141 5.2261
O 2.2473 0.4095 4.4781
O 2.9669 2.9222 1.2560
O 2.8660 4.7034 3.2736
O 3.5856 5.2917 0.0515
O 3.9997 1.3717 6.3927
O 4.7194 1.9600 3.1706
O 4.6184 3.7412 5.1882
O 5.3381 6.2539 1.9661
O 6.1478 3.7492 1.2181
O 5.4282 6.2458 4.4402
O 7.2433 0.9577 3.3487
O 7.9630 2.3739 0.1266
O 7.2168 4.1377 3.6818
O 7.9365 5.8574 0.4597
```

Computed properties:
Volume   387.52 Å³ per cell
Energy of formation   -3.72 eV per atom
Symmetry   P2_1/c

=====

Material: Hg3TeCl4
Method: DFT, r2SCAN
State: relaxed Values from VASP.

Quantum ESPRESSO input file:
```
&SYSTEM
  ibrav = 0, nat = 64, ntyp = 3
/
ATOMIC_SPECIES
Hg 200.59 Hg.upf
Te 127.60 Te.upf
Cl 35.45 Cl.upf
CELL_PARAMETERS angstrom
11.7565 0.0000 0.0000
0.0000 12.3805 0.0000
0.0000 0.0000 12.8580
ATOMIC_POSITIONS angstrom
Hg 1.0634 1.1617 2.3105
Hg 1.0634 5.0286 8.7395
Hg 2.1786 8.4337 9.9621
Hg 2.1786 10.1371 3.5331
Hg 2.5418 1.0362 6.2814
Hg 2.5418 5.1541 12.7104
Hg 3.3365 7.2264 6.2814
Hg 3.3365 11.3444 12.7104
Hg 3.6997 2.2434 9.9621
Hg 3.6997 3.9468 3.5331
Hg 4.8148 7.3520 2.3105
Hg 4.8148 11.2188 8.7395
Hg 6.9417 1.1617 4.1186
Hg 6.9417 5.0286 10.5476
Hg 8.0569 8.4337 9.3249
Hg 8.0569 10.1371 2.8959
Hg 8.4201 1.0362 0.1476
Hg 8.4201 5.1541 6.5766
Hg 9.2147 7.2264 0.1476
Hg 9.2147 11.3444 6.5766
Hg 9.5779 2.2434 9.3249
Hg 9.5779 3.9468 2.8959
Hg 10.6931 7.3520 4.1186
Hg 10.6931 11.2188 10.5476
Te 1.0955 7.4892 7.7073
Te 1.0955 11.0816 1.2783
Te 4.7828 1.2989 7.7073
Te 4.7828 4.8913 1.2783
Te 6.9738 7.4892 11.5798
Te 6.9738 11.0816 5.1508
Te 10.6610 1.2989 11.5798
Te 10.6610 4.8913 5.1508
Cl 0.4741 1.0140 5.0863
Cl 0.4741 5.1763 11.5153
Cl 0.9469 2.6041 8.7009
Cl 0.9469 3.5861 2.2719
Cl 2.0959 7.4292 3.5926
Cl 2.0959 11.1416 10.0216
Cl 2.9034 2.0029 12.2370
Cl 2.9034 4.1873 5.8080
Cl 2.9748 8.1932 12.2370
Cl 2.9748 10.3776 5.8080
Cl 3.7823 1.2389 3.5926
Cl 3.7823 4.9513 10.0216
Cl 4.9313 8.7944 8.7009
Cl 4.9313 9.7764 2.2719
Cl 5.4042 7.2042 5.0863
Cl 5.4042 11.3665 11.5153
Cl 6.3523 1.0140 1.3427
Cl 6.3523 5.1763 7.7717
Cl 6.8252 2.6041 10.5861
Cl 6.8252 3.5861 4.1571
Cl 7.9742 7.4292 2.8364
Cl 7.9742 11.1416 9.2655
Cl 8.7817 2.0029 7.0500
Cl 8.7817 4.1873 0.6210
Cl 8.8531 8.1932 7.0500
Cl 8.8531 10.3776 0.6210
Cl 9.6606 1.2389 2.8364
Cl 9.6606 4.9513 9.2655
Cl 10.8096 8.7944 10.5861
Cl 10.8096 9.7764 4.1571
Cl 11.2825 7.2042 1.3427
Cl 11.2825 11.3665 7.7717
```

Computed properties:
Volume   1871.51 Å³ per cell
Energy of formation   -0.62 eV per atom
Symmetry   Pbca

=====

Material: Dy2TlHg
Method: DFT, r2SCAN
State: relaxed Values from VASP.

Quantum ESPRESSO input file:
```
&SYSTEM
  ibrav = 0, nat = 4, ntyp = 3
/
ATOMIC_SPECIES
Dy 162.50 Dy.upf
Tl 204.38 Tl.upf
Hg 200.59 Hg.upf
CELL_PARAMETERS angstrom
0.0000 3.7251 3.7251
3.7251 0.0000 3.7251
3.7251 3.7251 0.0000
ATOMIC_POSITIONS angstrom
Dy 1.8625 1.8625 1.8625
Dy 5.5876 5.5876 5.5876
Tl 0.0000 0.0000 0.0000
Hg 3.7251 3.7251 3.7251
```

Computed properties:
Volume   103.38 Å³ per cell
Energy of formation   -0.52 eV per atom
Symmetry   Fm-3m

=====

Material: K2GaP2
Method: DFT, r2SCAN
State: relaxed Values from VASP.

Quantum ESPRESSO input file:
```
&SYSTEM
  ibrav = 0, nat = 40, ntyp = 3
/
ATOMIC_SPECIES
K 39.10 K.upf
Ga 69.72 Ga.upf
P 30.97 P.upf
CELL_PARAMETERS angstrom
8.6757 0.0000 0.0000
0.0000 13.9810 0.0000
-5.2215 0.0000 9.6139
ATOMIC_POSITIONS angstrom
K -0.2490 1.6346 0.6460
K -2.8597 5.3559 5.4529
K -4.0380 8.8491 8.6494
K -1.4272 12.1225 3.8424
K 0.0135 1.5829 4.5493
K -2.5973 5.4076 9.3563
K -0.7941 1.7920 9.2480
K 1.8166 5.1986 4.4410
K 1.6377 8.7825 5.1729
K 4.2484 12.1891 0.3659
K 6.0515 8.5734 0.2576
K 3.4408 12.3981 5.0646
K 4.8815 1.8585 5.7715
K 7.4922 5.1320 0.9646
K 6.3140 8.6251 4.1610
K 3.7032 12.3464 8.9680
Ga -0.8143 10.0182 7.1777
Ga 1.7964 10.9534 2.3707
Ga 2.9359 0.8169 2.4780
Ga 0.3251 6.1737 7.2849
Ga 3.1291 7.8074 2.3290
Ga 0.5184 13.1642 7.1360
Ga 1.6578 3.0277 7.2432
Ga 4.2686 3.9628 2.4363
P 0.0289 9.5410 2.1033
P -2.5818 11.4306 6.9103
P 0.8749 7.5023 2.1295
P -1.7359 13.4693 6.9365
P -1.3320 7.7666 7.1522
P 1.2787 13.2049 2.3452
P 2.2214 2.9849 2.1673
P -0.3893 4.0056 6.9743
P 3.8436 9.9755 2.6396
P 1.2328 10.9961 7.4466
P 2.1755 0.7761 7.2687
P 4.7863 6.2144 2.4617
P 5.1901 0.5117 2.6775
P 2.5794 6.4788 7.4844
P 6.0361 2.5505 2.7037
P 3.4253 4.4400 7.5106
```

Computed properties:
Volume   1166.13 Å³ per cell
Energy of formation   -0.58 eV per atom
Symmetry   P2_1/c

=====

Material: HoAl3Cl12
Method: DFT, r2SCAN
State: relaxed Values from VASP.

Quantum ESPRESSO input file:
```
&SYSTEM
  ibrav = 0, nat = 48, ntyp = 3
/
ATOMIC_SPECIES
Ho 164.93 Ho.upf
Al 26.98 Al.upf
Cl 35.45 Cl.upf
CELL_PARAMETERS angstrom
10.6184 0.0000 0.0000
-5.3092 9.1958 0.0000
0.0000 0.0000 15.6897
ATOMIC_POSITIONS angstrom
Ho 0.0000 3.1599 2.6150
Ho -2.5726 7.6159 13.0747
Ho 2.5726 7.6159 7.8449
Al -1.0087 5.5482 0.0000
Al 2.6992 0.8913 3.6160
Al 2.1215 1.8920 12.0737
Al 1.0087 5.5482 5.2299
Al 0.0000 7.2953 10.4598
Al 7.9192 0.8913 1.6139
Al 4.7315 6.4126 14.0758
Al 8.4970 1.8920 8.8459
Al 5.8870 6.4126 6.8438
Cl -0.8801 1.6259 0.5699
Cl -4.3412 7.6207 15.1198
Cl -2.0273 4.9095 1.7816
Cl -2.0711 4.9854 13.9081
Cl -0.2530 2.7815 8.5135
Cl -3.0269 7.5860 7.1762
Cl -0.8845 4.5901 4.9676
Cl -1.7763 6.1348 10.7221
Cl 0.8801 1.6259 4.6600
Cl -3.4611 9.1451 11.0298
Cl 0.2530 2.7815 12.4061
Cl -2.7739 8.0242 3.2836
Cl 2.8585 1.0080 13.9565
Cl 2.3022 1.9716 1.7332
Cl 0.8845 4.5901 0.2623
Cl -0.8919 7.6667 15.4274
Cl 2.0273 4.9095 3.4483
Cl -0.0438 8.4967 12.2414
Cl 2.0711 4.9854 7.0115
Cl 0.0438 8.4967 8.6782
Cl 1.7763 6.1348 10.1975
Cl 0.8919 7.6667 5.4922
Cl 4.4173 1.6018 4.5619
Cl 3.5958 3.0246 11.1278
Cl 6.2011 1.6018 0.6680
Cl 4.4878 4.5695 15.0217
Cl 3.0269 7.5860 13.7434
Cl 2.7739 8.0242 1.9463
Cl 7.7599 1.0080 6.9631
Cl 4.7529 6.2163 8.7266
Cl 4.3412 7.6207 5.7998
Cl 3.4611 9.1451 9.8899
Cl 7.0226 3.0246 9.7918
Cl 6.1306 4.5695 5.8979
Cl 8.3163 1.9716 3.4967
Cl 5.8656 6.2163 12.1930
```

Computed properties:
Volume   1531.98 Å³ per cell
Energy of formation   -1.89 eV per atom
Symmetry   P3_112

=====

What is the volume in the fourth record? 103.38 Å³ per cell

=====

What did the third record say?
Material: Hg3TeCl4
Method: DFT, r2SCAN
State: relaxed Values from VASP.

Quantum ESPRESSO input file:
```
&SYSTEM
  ibrav = 0, nat = 64, ntyp = 3
/
ATOMIC_SPECIES
Hg 200.59 Hg.upf
Te 127.60 Te.upf
Cl 35.45 Cl.upf
CELL_PARAMETERS angstrom
11.7565 0.0000 0.0000
0.0000 12.3805 0.0000
0.0000 0.0000 12.8580
ATOMIC_POSITIONS angstrom
Hg 1.0634 1.1617 2.3105
Hg 1.0634 5.0286 8.7395
Hg 2.1786 8.4337 9.9621
Hg 2.1786 10.1371 3.5331
Hg 2.5418 1.0362 6.2814
Hg 2.5418 5.1541 12.7104
Hg 3.3365 7.2264 6.2814
Hg 3.3365 11.3444 12.7104
Hg 3.6997 2.2434 9.9621
Hg 3.6997 3.9468 3.5331
Hg 4.8148 7.3520 2.3105
Hg 4.8148 11.2188 8.7395
Hg 6.9417 1.1617 4.1186
Hg 6.9417 5.0286 10.5476
Hg 8.0569 8.4337 9.3249
Hg 8.0569 10.1371 2.8959
Hg 8.4201 1.0362 0.1476
Hg 8.4201 5.1541 6.5766
Hg 9.2147 7.2264 0.1476
Hg 9.2147 11.3444 6.5766
Hg 9.5779 2.2434 9.3249
Hg 9.5779 3.9468 2.8959
Hg 10.6931 7.3520 4.1186
Hg 10.6931 11.2188 10.5476
Te 1.0955 7.4892 7.7073
Te 1.0955 11.0816 1.2783
Te 4.7828 1.2989 7.7073
Te 4.7828 4.8913 1.2783
Te 6.9738 7.4892 11.5798
Te 6.9738 11.0816 5.1508
Te 10.6610 1.2989 11.5798
Te 10.6610 4.8913 5.1508
Cl 0.4741 1.0140 5.0863
Cl 0.4741 5.1763 11.5153
Cl 0.9469 2.6041 8.7009
Cl 0.9469 3.5861 2.2719
Cl 2.0959 7.4292 3.5926
Cl 2.0959 11.1416 10.0216
Cl 2.9034 2.0029 12.2370
Cl 2.9034 4.1873 5.8080
Cl 2.9748 8.1932 12.2370
Cl 2.9748 10.3776 5.8080
Cl 3.7823 1.2389 3.5926
Cl 3.7823 4.9513 10.0216
Cl 4.9313 8.7944 8.7009
Cl 4.9313 9.7764 2.2719
Cl 5.4042 7.2042 5.0863
Cl 5.4042 11.3665 11.5153
Cl 6.3523 1.0140 1.3427
Cl 6.3523 5.1763 7.7717
Cl 6.8252 2.6041 10.5861
Cl 6.8252 3.5861 4.1571
Cl 7.9742 7.4292 2.8364
Cl 7.9742 11.1416 9.2655
Cl 8.7817 2.0029 7.0500
Cl 8.7817 4.1873 0.6210
Cl 8.8531 8.1932 7.0500
Cl 8.8531 10.3776 0.6210
Cl 9.6606 1.2389 2.8364
Cl 9.6606 4.9513 9.2655
Cl 10.8096 8.7944 10.5861
Cl 10.8096 9.7764 4.1571
Cl 11.2825 7.2042 1.3427
Cl 11.2825 11.3665 7.7717
```

Computed properties:
Volume   1871.51 Å³ per cell
Energy of formation   -0.62 eV per atom
Symmetry   Pbca

=====

Look up the energy of formation of the first one. -0.77 eV per atom